Entry 1:
Na5LiFe2P2C2O14: optimized geometry, PBE+U.

Unit cell a=8.987 b=6.608 c=10.386 alpha=90.00 beta=91.06 gamma=90.00
Atoms (fractional coordinates):
Na 0.082 0.000 0.371
Na 0.083 0.002 0.869
Na 0.260 0.752 0.625
Na 0.261 0.249 0.126
Na 0.261 0.751 0.125
Na 0.739 0.251 0.875
Na 0.739 0.749 0.874
Na 0.740 0.252 0.375
Na 0.917 0.502 0.131
Na 0.918 0.500 0.629
Li 0.270 0.246 0.628
Li 0.730 0.746 0.372
Fe 0.355 0.498 0.856
Fe 0.355 0.499 0.359
Fe 0.645 0.998 0.144
Fe 0.645 0.999 0.641
P 0.414 0.999 0.898
P 0.415 0.999 0.402
P 0.585 0.499 0.598
P 0.586 0.499 0.102
C 0.056 0.504 0.385
C 0.060 0.499 0.884
C 0.940 0.999 0.116
C 0.944 0.004 0.615
O 0.084 0.000 0.109
O 0.087 0.018 0.608
O 0.120 0.500 0.273
O 0.123 0.499 0.772
O 0.139 0.493 0.489
O 0.143 0.499 0.987
O 0.318 0.186 0.855
O 0.318 0.812 0.362
O 0.319 0.811 0.858
O 0.325 0.187 0.353
O 0.428 0.011 0.552
O 0.428 0.486 0.657
O 0.433 0.001 0.048
O 0.433 0.500 0.164
O 0.567 0.000 0.836
O 0.567 0.501 0.952
O 0.572 0.511 0.448
O 0.572 0.986 0.343
O 0.675 0.687 0.647
O 0.681 0.311 0.142
O 0.682 0.312 0.638
O 0.682 0.686 0.145
O 0.857 0.999 0.013
O 0.861 0.993 0.511
O 0.877 0.999 0.228
O 0.880 0.000 0.727
O 0.913 0.518 0.392
O 0.916 0.500 0.891


Entry 2:
V2CrFe3P6O24: optimized geometry, PBE+U.

Unit cell a=8.436 b=8.436 c=8.436 alpha=61.67 beta=61.67 gamma=61.67
Atoms (fractional coordinates):
V 0.000 0.000 0.000
V 0.498 0.498 0.498
Cr 0.642 0.642 0.642
Fe 0.147 0.147 0.147
Fe 0.354 0.354 0.354
Fe 0.853 0.853 0.853
P 0.044 0.453 0.750
P 0.250 0.953 0.549
P 0.453 0.750 0.044
P 0.549 0.250 0.953
P 0.750 0.044 0.453
P 0.953 0.549 0.250
O 0.005 0.606 0.823
O 0.060 0.250 0.905
O 0.095 0.938 0.750
O 0.108 0.506 0.322
O 0.179 0.992 0.393
O 0.247 0.438 0.595
O 0.250 0.905 0.060
O 0.322 0.108 0.506
O 0.393 0.179 0.992
O 0.406 0.750 0.563
O 0.438 0.595 0.247
O 0.493 0.679 0.890
O 0.506 0.322 0.108
O 0.563 0.406 0.750
O 0.595 0.247 0.438
O 0.606 0.823 0.005
O 0.679 0.890 0.493
O 0.750 0.095 0.938
O 0.750 0.563 0.406
O 0.823 0.005 0.606
O 0.890 0.493 0.679
O 0.905 0.060 0.250
O 0.938 0.750 0.095
O 0.992 0.393 0.179


Entry 3:
YMoClO4: optimized geometry, PBE+U.

Unit cell a=6.337 b=6.337 c=6.950 alpha=104.05 beta=104.05 gamma=70.88
Atoms (fractional coordinates):
Y 0.222 0.222 0.114
Y 0.778 0.778 0.886
Mo 0.362 0.362 0.731
Mo 0.638 0.638 0.269
Cl 0.011 0.011 0.768
Cl 0.989 0.989 0.232
O 0.110 0.491 0.846
O 0.293 0.293 0.466
O 0.458 0.458 0.202
O 0.491 0.110 0.846
O 0.509 0.890 0.154
O 0.542 0.542 0.798
O 0.707 0.707 0.534
O 0.890 0.509 0.154


no.,DFT formation energy (eV/f.u.)
1,-59.38
2,-87.07
3,-18.11